(1)
A plane-wave DFT calculation with GGA-PBE was carried out for K3Na3TeP6H6O24 after structural relaxation.

Structure (POSCAR):
```
K3Na3TeP6H6O24
1.0
-10.863 -5.648 3.440
-6.818 -8.667 -6.335
-2.046 -12.207 2.924
H O Na K P Te
12 48 6 6 12 2
Cartesian
-7.916 -13.571 1.550
-11.810 -12.951 -1.520
-6.825 -9.796 -4.106
-4.407 -11.588 2.389
-9.599 -19.189 -1.719
-8.954 -12.803 -2.267
-15.320 -14.934 -2.360
-11.087 -11.213 0.759
-12.902 -16.725 4.135
-10.773 -13.718 2.297
-10.128 -7.333 1.748
-8.640 -15.308 -0.730
-12.392 -9.973 0.908
-5.807 -10.241 -0.069
-16.293 -23.040 -1.262
-3.255 -6.024 1.585
-10.190 -11.601 0.966
-7.499 -8.980 1.308
-3.515 -3.425 -1.226
-12.227 -17.541 -1.279
-18.002 -21.767 0.083
-6.220 -10.513 -2.562
-5.153 -8.320 -1.656
-11.514 -13.434 3.920
-3.797 -12.321 2.095
-12.116 -17.621 1.238
-11.706 -13.307 -0.594
-1.725 -4.755 -0.053
-4.994 -8.434 1.561
-8.021 -13.215 0.623
-16.384 -20.560 1.665
-10.428 -7.388 2.699
-13.752 -15.831 -2.379
-14.190 -22.194 -0.039
-6.966 -14.007 3.023
-5.537 -4.328 0.068
-7.536 -9.547 -4.761
-7.611 -8.900 -1.208
-7.309 -6.714 0.121
-8.213 -13.087 -3.890
-9.551 -8.033 0.185
-13.920 -16.281 0.098
-3.434 -3.482 1.292
-12.418 -19.807 -0.092
-15.930 -14.201 -2.065
-7.334 -16.548 -0.879
-10.176 -18.489 -0.156
-16.212 -23.097 1.255
-16.472 -20.498 -1.556
-9.345 -12.232 -1.547
-14.574 -18.202 1.685
-3.343 -5.962 -1.635
-5.975 -10.690 2.409
-14.732 -18.087 -1.531
-12.191 -16.974 4.790
-9.299 -19.134 -2.669
-9.536 -14.921 -0.936
-13.507 -16.008 2.591
-10.382 -14.289 1.577
-12.761 -12.515 -2.994
-13.856 -20.587 1.843
-5.870 -5.934 -1.813
-16.529 -18.601 0.124
-3.198 -7.920 -0.094
-14.000 -20.485 -1.900
-5.727 -6.037 1.930
-14.281 -13.408 -0.209
-9.451 -10.138 -3.095
-9.762 -9.900 2.893
-9.964 -16.622 -2.864
-5.445 -13.114 0.239
-10.276 -16.383 3.124
-15.225 -23.284 -0.048
-6.096 -9.479 -1.486
-2.429 -4.778 1.422
-8.056 -8.019 0.095
-13.631 -17.043 1.516
-17.195 -21.817 1.516
-13.750 -16.957 -1.392
-5.976 -9.564 1.422
-4.501 -3.238 0.078
-11.670 -18.503 -0.065
-2.532 -4.705 -1.486
-17.298 -21.743 -1.393
0.000 0.000 0.000
-9.863 -13.261 0.015
```

Properties
Offset from the most stable computed form   0.00 kcal/mol of atoms
SG   R-3c (167)



(2)
A plane-wave DFT calculation with GGA-PBE was carried out for KNaZrSi3H4O11 after structural relaxation.

Structure (POSCAR):
```
KNaZrSi3H4O11
1.0
6.827 0.000 0.000
0.000 11.916 0.000
0.000 0.000 13.140
K H O Na Si Zr
4 16 44 4 12 4
Cartesian
2.822 8.954 1.983
4.005 2.996 11.157
6.235 2.996 4.587
0.592 8.954 8.554
4.134 11.859 12.205
5.037 6.018 10.928
0.446 5.791 9.024
1.624 0.060 8.782
2.968 5.791 2.454
5.203 6.018 4.358
3.859 11.749 10.686
6.106 11.859 5.634
6.381 11.749 4.116
3.329 0.132 2.370
3.498 6.090 10.770
6.742 6.090 4.200
1.790 0.060 2.212
0.720 5.902 7.506
2.693 5.902 0.936
0.084 0.132 8.940
5.431 9.175 10.401
5.899 8.502 1.409
6.189 2.887 9.589
0.928 2.544 11.731
4.341 8.502 7.980
2.830 0.886 7.502
4.297 5.676 10.369
4.051 2.887 3.019
0.559 4.973 10.682
2.017 3.217 9.309
6.711 0.276 4.931
1.053 5.030 0.204
2.079 6.859 11.698
2.361 5.030 6.774
5.737 3.341 0.967
2.324 9.299 5.603
3.298 6.234 1.639
0.318 2.785 7.102
4.466 10.988 6.366
0.583 0.886 0.932
2.530 11.634 2.771
1.089 9.299 12.174
1.396 3.217 2.739
6.509 8.743 6.039
5.493 0.901 8.013
0.883 11.634 9.341
6.244 6.843 12.208
2.855 4.973 4.112
3.529 0.276 11.501
3.972 10.931 9.028
3.731 8.743 12.609
2.486 2.544 5.161
5.774 10.988 12.936
1.334 6.859 5.128
6.268 10.931 2.458
4.810 9.175 3.831
0.116 6.234 8.209
4.747 0.901 1.443
2.776 8.844 10.121
3.996 6.843 5.638
5.944 5.676 3.799
4.503 3.341 7.537
3.096 2.785 0.532
0.638 8.844 3.551
5.659 5.921 1.446
4.582 5.921 8.016
1.168 11.878 11.694
2.245 11.878 5.124
4.162 11.885 7.686
0.998 8.495 5.132
5.828 2.537 8.008
2.415 8.495 11.702
6.061 9.308 2.806
4.412 2.537 1.438
2.665 5.927 5.454
0.765 3.350 10.335
6.078 11.885 1.116
2.648 3.350 3.765
4.179 9.308 9.376
0.749 5.927 12.024
4.423 8.924 5.883
5.818 8.924 12.453
2.404 2.966 7.257
1.009 2.966 0.687
```

Properties
SG   Pna2_1 (33)



(3)
A plane-wave DFT calculation with GGA-PBE was carried out for K6Na15Tl18H after structural relaxation.

Structure (POSCAR):
```
K6Na15Tl18H
1.0
10.885 0.000 0.000
0.000 10.885 0.000
0.000 0.000 10.885
Na Tl K H
15 18 6 1
Cartesian
5.442 7.304 0.000
3.050 3.050 3.050
3.581 0.000 5.442
7.835 3.050 7.835
7.835 7.835 3.050
0.000 0.000 0.000
7.304 0.000 5.442
0.000 5.442 3.581
0.000 5.442 7.304
3.050 3.050 7.835
3.050 7.835 7.835
3.050 7.835 3.050
5.442 3.581 0.000
7.835 3.050 3.050
7.835 7.835 7.835
2.768 1.696 0.000
5.442 7.888 5.442
7.888 5.442 5.442
0.000 8.117 9.189
9.189 0.000 8.117
0.000 2.768 1.696
8.117 1.696 0.000
5.442 2.997 5.442
2.768 9.189 0.000
0.000 8.117 1.696
1.696 0.000 2.768
0.000 2.768 9.189
5.442 5.442 7.888
9.189 0.000 2.768
8.117 9.189 0.000
2.997 5.442 5.442
5.442 5.442 2.997
1.696 0.000 8.117
5.442 0.000 2.028
0.000 8.857 5.442
0.000 2.028 5.442
8.857 5.442 0.000
5.442 0.000 8.857
2.028 5.442 0.000
5.442 5.442 5.442
```

Properties
SG   Pm-3 (200)



no.,energy (eV/cell),ΔH_f (0 K) (eV/atom),E (MP2020) (eV per atom)
1,-523.52,-2.238,-6.4709
2,-573.79,-2.655,-7.1907
3,-76.58,-0.108,-1.9189